Al12Re | r2SCAN | optimized geometry

a b c (Å): 7.478 7.478 7.478
angles (deg): 90.00 90.00 90.00
Space group Im-3 (No. 204)
Inequivalent atoms, fractional coordinates:
Al: 0.000 0.188 0.308 x24
Re: 0.000 0.000 0.000 x2

Values from the calculation:
Formation energy   -0.152 eV per atom
Energy   -10.40 eV/atom

=====

Sc | r2SCAN | optimized geometry

a b c (Å): 3.2912 3.2912 5.3326
angles (deg): 90.00 90.00 120.00
Space group P6_3/mmc (No. 194)
Inequivalent atoms, fractional coordinates:
Sc: 0.3333 0.6667 0.2500 x2

Values from the calculation:
Formation energy   0.000 eV per atom
Energy   -11.40 eV/atom
ΔE to the lowest computed polymorph   0.00 eV/f.u.

=====

CdAg | r2SCAN | optimized geometry

a b c (Å): 3.0214 3.0214 14.3502
angles (deg): 90.00 90.00 120.00
Space group R-3m (No. 166, hexagonal axes)
Inequivalent atoms, fractional coordinates:
Cd: 0.0000 0.0000 0.0000 x3
Ag: 0.0000 0.0000 0.5000 x3

Values from the calculation:
Formation energy   -0.033 eV per atom
Energy   -20.76 eV/atom

=====

Hg5Au6 | r2SCAN | optimized geometry

a b c (Å): 7.1162 7.1162 10.2856
angles (deg): 90.00 90.00 120.00
Space group P6_3/mcm (No. 193)
Inequivalent atoms, fractional coordinates:
Hg: 0.0000 0.4134 0.2500 x6
Hg: 0.3333 0.6667 0.0000 x4
Au: 0.0000 0.2404 0.6102 x12

Values from the calculation:
Formation energy   -0.002 eV per atom
Energy   -50.03 eV/atom

=====

CdH2O2 | r2SCAN | optimized geometry

a b c (Å): 3.5155 3.5155 4.6430
angles (deg): 90.00 90.00 120.00
Space group P-3m1 (No. 164)
Inequivalent atoms, fractional coordinates:
Cd: 0.0000 0.0000 0.0000 x1
H: 0.3333 0.6667 0.4490 x2
O: 0.3333 0.6667 0.2406 x2

Values from the calculation:
Formation energy   -1.148 eV per atom
Energy   -8.94 eV/atom
ΔE to the lowest computed polymorph   0.02 eV/f.u.

=====

BiAsO4 | r2SCAN | optimized geometry

a b c (Å): 6.745 7.174 8.293
angles (deg): 90.00 126.71 90.00
Space group P2_1/c (No. 14)
Inequivalent atoms, fractional coordinates:
Bi: 0.198 0.135 0.281 x4
As: 0.312 0.662 0.201 x4
O: 0.130 0.644 0.610 x4
O: 0.162 0.000 0.737 x4
O: 0.360 0.603 0.025 x4
O: 0.387 0.208 0.109 x4

Values from the calculation:
Formation energy   -1.450 eV per atom
Energy   -17.63 eV/atom

=====

TmMg2 | r2SCAN | optimized geometry

a b c (Å): 5.9644 5.9644 9.7350
angles (deg): 90.00 90.00 120.00
Space group P6_3/mmc (No. 194)
Inequivalent atoms, fractional coordinates:
Tm: 0.3333 0.6667 0.0641 x4
Mg: 0.0000 0.0000 0.0000 x2
Mg: 0.1716 0.3432 0.7500 x6

Values from the calculation:
Formation energy   -0.061 eV per atom
Energy   -14.55 eV/atom

=====

SiO2 | r2SCAN | optimized geometry

a b c (Å): 14.180 14.180 10.258
angles (deg): 90.00 90.00 90.00
Space group I4/mmm (No. 139)
Inequivalent atoms, fractional coordinates:
Si: 0.109 0.391 0.250 x16
Si: 0.111 0.266 0.000 x16
O: 0.000 0.241 0.000 x8
O: 0.000 0.374 0.289 x16
O: 0.137 0.326 0.128 x32
O: 0.169 0.169 0.000 x8

Values from the calculation:
Formation energy   -3.018 eV per atom
Energy   -9.92 eV/atom

=====

CaCu2Si2 | r2SCAN | optimized geometry

a b c (Å): 4.035 4.035 9.859
angles (deg): 90.00 90.00 90.00
Space group I4/mmm (No. 139)
Inequivalent atoms, fractional coordinates:
Ca: 0.000 0.000 0.000 x2
Cu: 0.000 0.500 0.250 x4
Si: 0.000 0.000 0.380 x4

Values from the calculation:
Formation energy   -0.425 eV per atom
Energy   -9.68 eV/atom

=====

Ca4MgAl3 | r2SCAN | optimized geometry

a b c (Å): 6.175 24.253 5.856
angles (deg): 90.00 90.00 90.00
Space group Pbcm (No. 57)
Inequivalent atoms, fractional coordinates:
Ca: 0.003 0.046 0.250 x4
Ca: 0.186 0.710 0.750 x4
Ca: 0.257 0.124 0.750 x4
Ca: 0.420 0.643 0.250 x4
Mg: 0.500 0.000 0.000 x4
Al: 0.088 0.177 0.250 x4
Al: 0.246 0.575 0.750 x4
Al: 0.331 0.250 0.000 x4

Values from the calculation:
Formation energy   -0.238 eV per atom
Energy   -6.80 eV/atom

=====

Mg | r2SCAN | optimized geometry

a b c (Å): 3.1720 3.1720 5.1412
angles (deg): 90.00 90.00 120.00
Space group P6_3/mmc (No. 194)
Inequivalent atoms, fractional coordinates:
Mg: 0.3333 0.6667 0.2500 x2

Values from the calculation:
Formation energy   0.000 eV per atom
Energy   -4.17 eV/atom
ΔE to the lowest computed polymorph   0.00 eV/f.u.

=====

Ta3Ir | r2SCAN | optimized geometry

a b c (Å): 6.452 6.452 6.452
angles (deg): 90.00 90.00 90.00
Space group Fm-3m (No. 225)
Inequivalent atoms, fractional coordinates:
Ta: 0.000 0.000 0.000 x4
Ta: 0.250 0.250 0.250 x8
Ir: 0.000 0.000 0.500 x4

Values from the calculation:
Formation energy   -0.358 eV per atom
Energy   -49.89 eV/atom

=====

CoF3 | r2SCAN | optimized geometry

a b c (Å): 5.2945 5.2945 6.4841
angles (deg): 90.00 90.00 120.00
Space group P321 (No. 150)
Inequivalent atoms, fractional coordinates:
Co: 0.0000 0.0000 0.0000 x1
Co: 0.3333 0.6667 0.6701 x2
F: 0.0000 0.4982 0.5000 x3
F: 0.1622 0.8364 0.8387 x6

Values from the calculation:
Formation energy   -2.005 eV per atom
Energy   -7.66 eV/atom

=====

TbGa3Ru | r2SCAN | optimized geometry

a b c (Å): 6.392 6.392 6.392
angles (deg): 90.00 90.00 90.00
Space group Pm-3m (No. 221)
Inequivalent atoms, fractional coordinates:
Tb: 0.000 0.000 0.500 x3
Ga: 0.000 0.000 0.000 x1
Ga: 0.291 0.291 0.291 x8
Ru: 0.000 0.500 0.500 x3

Values from the calculation:
Formation energy   -0.643 eV per atom
Energy   -18.84 eV/atom

=====

Ac2AgPb | r2SCAN | optimized geometry

a b c (Å): 8.134 8.134 8.134
angles (deg): 90.00 90.00 90.00
Space group Fm-3m (No. 225)
Inequivalent atoms, fractional coordinates:
Ac: 0.250 0.250 0.250 x8
Ag: 0.000 0.000 0.000 x4
Pb: 0.000 0.000 0.500 x4

Values from the calculation:
Formation energy   -0.480 eV per atom
Energy   -54.21 eV/atom

=====

V5O12 | r2SCAN | optimized geometry

a b c (Å): 10.065 8.511 5.864
angles (deg): 90.00 109.95 90.00
Space group C2 (No. 5)
Inequivalent atoms, fractional coordinates:
V: 0.000 0.000 0.000 x2
V: 0.200 0.659 0.980 x4
V: 0.221 0.479 0.507 x4
O: 0.098 0.993 0.328 x4
O: 0.124 0.165 0.952 x4
O: 0.132 0.841 0.958 x4
O: 0.133 0.565 0.695 x4
O: 0.157 0.550 0.200 x4
O: 0.187 0.294 0.490 x4

Values from the calculation:
Formation energy   -2.410 eV per atom
Energy   -10.77 eV/atom

=====

AcYbAu2 | r2SCAN | optimized geometry

a b c (Å): 7.452 7.452 7.452
angles (deg): 90.00 90.00 90.00
Space group Fm-3m (No. 225)
Inequivalent atoms, fractional coordinates:
Ac: 0.000 0.000 0.000 x4
Yb: 0.000 0.000 0.500 x4
Au: 0.250 0.250 0.250 x8

Values from the calculation:
Formation energy   -0.804 eV per atom
Energy   -52.39 eV/atom

=====

CrF5 | r2SCAN | optimized geometry

a b c (Å): 7.664 7.531 5.491
angles (deg): 90.00 90.00 90.00
Space group Pbcm (No. 57)
Inequivalent atoms, fractional coordinates:
Cr: 0.242 0.088 0.250 x4
F: 0.030 0.020 0.250 x4
F: 0.155 0.250 0.000 x4
F: 0.314 0.551 0.523 x8
F: 0.419 0.226 0.250 x4

Values from the calculation:
Formation energy   -2.340 eV per atom
Energy   -7.46 eV/atom

=====

SrYb3 | r2SCAN | optimized geometry

a b c (Å): 8.161 8.161 8.161
angles (deg): 90.00 90.00 90.00
Space group Fm-3m (No. 225)
Inequivalent atoms, fractional coordinates:
Sr: 0.000 0.000 0.000 x4
Yb: 0.000 0.000 0.500 x4
Yb: 0.250 0.250 0.250 x8

Values from the calculation:
Formation energy   0.295 eV per atom
Energy   -30.89 eV/atom

=====

NbSe2 | r2SCAN | optimized geometry

a b c (Å): 3.4990 3.4990 13.4137
angles (deg): 90.00 90.00 120.00
Space group P6_3/mmc (No. 194)
Inequivalent atoms, fractional coordinates:
Nb: 0.0000 0.0000 0.2500 x2
Se: 0.3333 0.6667 0.1254 x4

Values from the calculation:
Formation energy   -0.983 eV per atom
Energy   -18.77 eV/atom